(1)
Crystalline Na2SnBPO7 at its relaxed geometry, computed with GGA-PBE.

```
Na2SnBPO7
1.0
5.416 0.000 0.000
0.000 6.765 0.000
-0.325 0.000 9.401
Na Sn B P O
4 2 2 2 14
Direct
0.235 0.008 0.309
0.235 0.492 0.309
0.765 0.508 0.691
0.765 0.992 0.691
0.226 0.750 0.844
0.774 0.250 0.156
0.276 0.750 0.576
0.724 0.250 0.424
0.273 0.250 0.934
0.727 0.750 0.066
0.047 0.750 0.647
0.137 0.250 0.077
0.203 0.066 0.844
0.203 0.434 0.844
0.307 0.750 0.438
0.440 0.750 0.032
0.473 0.750 0.685
0.527 0.250 0.315
0.560 0.250 0.968
0.693 0.250 0.562
0.797 0.566 0.156
0.797 0.934 0.156
0.863 0.750 0.923
0.953 0.250 0.353
```

## Properties
Corrected total energy (MP2020 scheme) ... -165.519 eV/cell
Space group ... P2_1/m, No. 11
VASP energy ... -6.496 eV per atom
Calculated density ... 3.071 g cm⁻³
ΔH_f (0 K) ... -2.448 eV/atom

***

(2)
Crystalline NaZnBP2O11 at its relaxed geometry, computed with GGA-PBE.

```
NaZnBP2O11
1.0
10.054 0.000 0.000
-5.027 8.707 0.000
0.000 0.000 14.680
Na Zn B P O
6 6 6 12 66
Direct
0.263 0.527 0.250
0.263 0.737 0.917
0.473 0.737 0.583
0.527 0.263 0.083
0.737 0.263 0.417
0.737 0.473 0.750
0.007 0.503 0.083
0.497 0.503 0.417
0.497 0.993 0.750
0.503 0.007 0.250
0.503 0.497 0.917
0.993 0.497 0.583
0.158 0.316 0.750
0.158 0.842 0.417
0.316 0.158 0.583
0.684 0.842 0.083
0.842 0.158 0.917
0.842 0.684 0.250
0.149 0.378 0.931
0.149 0.771 0.236
0.229 0.378 0.569
0.229 0.851 0.597
0.378 0.149 0.403
0.378 0.229 0.764
0.622 0.771 0.264
0.622 0.851 0.903
0.771 0.149 0.097
0.771 0.622 0.069
0.851 0.229 0.736
0.851 0.622 0.431
0.000 0.220 0.333
0.000 0.780 0.833
0.004 0.217 0.943
0.004 0.787 0.223
0.084 0.377 0.535
0.084 0.707 0.631
0.116 0.345 0.365
0.116 0.770 0.802
0.131 0.505 0.978
0.131 0.626 0.188
0.172 0.421 0.826
0.172 0.751 0.341
0.213 0.217 0.557
0.213 0.996 0.610
0.217 0.004 0.390
0.217 0.213 0.777
0.220 0.000 0.000
0.220 0.220 0.167
0.230 0.345 0.135
0.230 0.884 0.031
0.249 0.421 0.674
0.249 0.828 0.492
0.293 0.377 0.965
0.293 0.916 0.202
0.345 0.116 0.969
0.345 0.230 0.198
0.374 0.505 0.522
0.374 0.869 0.645
0.377 0.084 0.798
0.377 0.293 0.369
0.421 0.172 0.508
0.421 0.249 0.659
0.495 0.626 0.312
0.495 0.869 0.855
0.505 0.131 0.355
0.505 0.374 0.812
0.579 0.751 0.159
0.579 0.828 0.008
0.623 0.707 0.869
0.623 0.916 0.298
0.626 0.131 0.145
0.626 0.495 0.022
0.655 0.770 0.698
0.655 0.884 0.469
0.707 0.084 0.702
0.707 0.623 0.465
0.751 0.172 0.992
0.751 0.579 0.174
0.770 0.116 0.531
0.770 0.655 0.635
0.780 0.000 0.500
0.780 0.780 0.667
0.783 0.787 0.277
0.783 0.996 0.890
0.787 0.004 0.110
0.787 0.783 0.057
0.828 0.249 0.841
0.828 0.579 0.326
0.869 0.374 0.688
0.869 0.495 0.478
0.884 0.230 0.302
0.884 0.655 0.865
0.916 0.293 0.131
0.916 0.623 0.035
0.996 0.213 0.723
0.996 0.783 0.443
```

## Properties
Space group ... P6_122, No. 178
VASP energy ... -6.314 eV per atom
Calculated density ... 2.614 g cm⁻³
ΔH_f (0 K) ... -1.656 eV/atom

***

(3)
Crystalline NaB5PbO9 at its relaxed geometry, computed with GGA-PBE.

```
NaB5PbO9
1.0
6.598 0.000 0.000
0.000 13.180 0.000
-2.248 0.000 8.398
Na B Pb O
4 20 4 36
Direct
0.034 0.088 0.368
0.034 0.412 0.868
0.966 0.588 0.132
0.966 0.912 0.632
0.048 0.151 0.857
0.048 0.349 0.357
0.083 0.246 0.121
0.083 0.254 0.621
0.292 0.551 0.751
0.292 0.949 0.251
0.337 0.111 0.729
0.337 0.389 0.229
0.413 0.563 0.132
0.413 0.937 0.632
0.587 0.063 0.368
0.587 0.437 0.868
0.663 0.611 0.771
0.663 0.889 0.271
0.708 0.051 0.749
0.708 0.449 0.249
0.917 0.746 0.379
0.917 0.754 0.879
0.952 0.651 0.643
0.952 0.849 0.143
0.410 0.711 0.442
0.410 0.789 0.942
0.590 0.211 0.058
0.590 0.289 0.558
0.000 0.174 0.010
0.000 0.326 0.510
0.000 0.674 0.490
0.000 0.826 0.990
0.008 0.743 0.753
0.008 0.757 0.253
0.082 0.563 0.717
0.082 0.937 0.217
0.248 0.192 0.606
0.248 0.308 0.106
0.269 0.127 0.874
0.269 0.373 0.374
0.275 0.012 0.653
0.275 0.488 0.153
0.337 0.653 0.072
0.337 0.847 0.572
0.369 0.042 0.317
0.369 0.458 0.817
0.430 0.625 0.727
0.430 0.875 0.227
0.570 0.125 0.773
0.570 0.375 0.273
0.631 0.542 0.183
0.631 0.958 0.683
0.663 0.153 0.428
0.663 0.347 0.928
0.725 0.512 0.847
0.725 0.988 0.347
0.731 0.627 0.626
0.731 0.873 0.126
0.752 0.692 0.894
0.752 0.808 0.394
0.918 0.063 0.783
0.918 0.437 0.283
0.992 0.243 0.747
0.992 0.257 0.247
```

## Properties
Corrected total energy (MP2020 scheme) ... -503.298 eV/cell
Space group ... P2_1/c, No. 14
VASP energy ... -7.478 eV per atom
Calculated density ... 3.894 g cm⁻³
ΔH_f (0 K) ... -2.679 eV/atom